Record 1
DFT (PBE with a Hubbard U) results for a relaxed structure of Fe6O7F5.

Properties
formation energy = -1.889 eV/atom
offset from the most stable computed form = 26 meV/atom

Cell lengths 4.727, 5.609, 7.742 Å; angles 85.77, 89.40, 89.20 degrees
Fractional coordinates of all 18 atoms:
Fe 0.000 0.000 0.000
Fe 0.016 0.651 0.331
Fe 0.064 0.314 0.674
Fe 0.463 0.808 0.657
Fe 0.527 0.155 0.338
Fe 0.550 0.476 0.996
O 0.210 0.012 0.777
O 0.219 0.364 0.436
O 0.318 0.861 0.427
O 0.339 0.517 0.778
O 0.717 0.446 0.228
O 0.823 0.944 0.228
O 0.835 0.289 0.894
F 0.223 0.689 0.094
F 0.323 0.188 0.100
F 0.716 0.787 0.894
F 0.717 0.110 0.572
F 0.821 0.619 0.572


Record 2
DFT (PBE with a Hubbard U) results for a relaxed structure of Fe6O7F5.

Properties
formation energy = -1.910 eV/atom
offset from the most stable computed form = 5 meV/atom

Cell lengths 4.763, 4.763, 9.114 Å; angles 90.19, 90.19, 85.96 degrees
Fractional coordinates of all 18 atoms:
Fe 0.000 0.000 0.000
Fe 0.030 0.043 0.325
Fe 0.490 0.496 0.173
Fe 0.504 0.510 0.827
Fe 0.529 0.471 0.500
Fe 0.957 0.970 0.675
O 0.187 0.802 0.842
O 0.198 0.813 0.158
O 0.322 0.314 0.334
O 0.686 0.678 0.666
O 0.798 0.190 0.844
O 0.810 0.202 0.156
O 0.824 0.176 0.500
F 0.208 0.792 0.500
F 0.306 0.295 0.667
F 0.308 0.313 0.998
F 0.687 0.692 0.002
F 0.705 0.694 0.333


Record 3
DFT (PBE with a Hubbard U) results for a relaxed structure of Fe3O2F8.

Properties
formation energy = -1.968 eV/atom

Cell lengths 5.366, 5.366, 7.464 Å; angles 110.05, 110.05, 88.57 degrees
Fractional coordinates of all 13 atoms:
Fe 0.000 0.000 0.000
Fe 0.000 0.500 0.500
Fe 0.500 0.000 0.500
O 0.235 0.235 0.960
O 0.765 0.765 0.040
F 0.065 0.687 0.791
F 0.201 0.799 0.500
F 0.313 0.935 0.209
F 0.327 0.327 0.566
F 0.673 0.673 0.434
F 0.687 0.065 0.791
F 0.799 0.201 0.500
F 0.935 0.313 0.209